1.
## Na6CaZr7Si6S6O48 (PBE-GGA)

Data for crystalline Na6CaZr7Si6S6O48 at its relaxed geometry.

Output
Energy relative to the elements in eV/f.u.: -211.70
Total energy in eV for the cell shown: -1630.10
Corrected total energy (MP2020 scheme) in eV per atom: -7.79
Space group: No. 1

Unit cell a=9.070 b=15.787 c=23.598 alpha=90.02 beta=90.01 gamma=90.04
Fractional coordinates of all 222 atoms:
Na  0.000  0.000  0.000
Na  0.000  0.335  0.666
Na  0.005  0.686  0.327
Na  0.012  0.676  0.839
Na  0.169  0.516  0.756
Na  0.204  0.821  0.755
Na  0.332  0.314  0.257
Na  0.371  0.019  0.251
Na  0.498  0.838  0.169
Na  0.503  0.177  0.828
Na  0.509  0.514  0.989
Na  0.509  0.849  0.677
Na  0.513  0.180  0.323
Na  0.516  0.494  0.500
Na  0.833  0.824  0.252
Na  0.865  0.515  0.257
Na  0.987  0.006  0.498
Na  0.992  0.327  0.174
Ca  0.006  0.677  0.686
Ca  0.012  0.681  0.186
Ca  0.517  0.177  0.188
Zr  0.002  0.348  0.519
Zr  0.003  0.008  0.353
Zr  0.003  0.348  0.017
Zr  0.006  0.341  0.318
Zr  0.006  0.679  0.976
Zr  0.007  0.346  0.818
Zr  0.009  0.010  0.156
Zr  0.009  0.011  0.647
Zr  0.016  0.009  0.858
Zr  0.496  0.508  0.858
Zr  0.499  0.505  0.652
Zr  0.504  0.843  0.818
Zr  0.511  0.177  0.688
Zr  0.512  0.845  0.012
Zr  0.514  0.185  0.486
Zr  0.516  0.513  0.151
Zr  0.516  0.839  0.313
Zr  0.517  0.176  0.979
Zr  0.517  0.505  0.360
Zr  0.521  0.852  0.521
Zr  0.999  0.678  0.478
Si  0.146  0.159  0.254
Si  0.152  0.491  0.918
Si  0.157  0.864  0.254
Si  0.216  0.845  0.917
Si  0.300  0.341  0.419
Si  0.301  0.011  0.751
Si  0.359  0.361  0.753
Si  0.369  0.658  0.751
Si  0.650  0.653  0.254
Si  0.651  0.697  0.916
Si  0.654  0.034  0.585
Si  0.655  0.990  0.916
Si  0.658  0.367  0.253
Si  0.659  0.326  0.588
Si  0.714  0.009  0.254
Si  0.714  0.344  0.917
Si  0.805  0.848  0.418
Si  0.864  0.491  0.417
S  0.154  0.200  0.919
S  0.157  0.826  0.583
S  0.158  0.529  0.584
S  0.217  0.177  0.585
S  0.222  0.507  0.253
S  0.310  0.677  0.083
S  0.356  0.027  0.084
S  0.356  0.327  0.084
S  0.361  0.700  0.421
S  0.363  0.990  0.419
S  0.707  0.677  0.582
S  0.797  0.506  0.753
S  0.811  0.176  0.082
S  0.856  0.828  0.084
S  0.859  0.527  0.085
S  0.862  0.197  0.420
S  0.862  0.870  0.752
S  0.866  0.155  0.752
O  0.074  0.582  0.927
O  0.075  0.112  0.197
O  0.075  0.255  0.257
O  0.076  0.774  0.251
O  0.084  0.446  0.860
O  0.084  0.913  0.309
O  0.085  0.115  0.914
O  0.087  0.913  0.586
O  0.088  0.779  0.536
O  0.090  0.240  0.970
O  0.095  0.442  0.576
O  0.099  0.562  0.638
O  0.108  0.101  0.309
O  0.110  0.762  0.927
O  0.111  0.930  0.913
O  0.112  0.429  0.972
O  0.115  0.585  0.536
O  0.118  0.578  0.248
O  0.119  0.252  0.580
O  0.121  0.099  0.591
O  0.129  0.251  0.868
O  0.129  0.924  0.197
O  0.136  0.426  0.256
O  0.137  0.781  0.638
O  0.176  0.357  0.759
O  0.186  0.000  0.696
O  0.187  0.346  0.473
O  0.187  0.667  0.750
O  0.189  0.020  0.806
O  0.191  0.020  0.083
O  0.192  0.336  0.076
O  0.198  0.692  0.428
O  0.199  0.331  0.360
O  0.201  0.999  0.417
O  0.209  0.668  0.034
O  0.227  0.687  0.136
O  0.307  0.831  0.859
O  0.308  0.164  0.534
O  0.308  0.188  0.636
O  0.311  0.517  0.304
O  0.315  0.498  0.201
O  0.316  0.190  0.927
O  0.317  0.837  0.574
O  0.321  0.859  0.972
O  0.322  0.523  0.585
O  0.323  0.167  0.250
O  0.329  0.498  0.916
O  0.336  0.865  0.261
O  0.378  0.282  0.138
O  0.385  0.424  0.698
O  0.385  0.752  0.369
O  0.394  0.923  0.755
O  0.396  0.429  0.415
O  0.397  0.935  0.469
O  0.400  0.083  0.035
O  0.403  0.095  0.745
O  0.403  0.597  0.085
O  0.405  0.257  0.426
O  0.406  0.594  0.804
O  0.409  0.752  0.077
O  0.410  0.062  0.138
O  0.421  0.280  0.036
O  0.421  0.949  0.367
O  0.422  0.414  0.087
O  0.422  0.941  0.077
O  0.424  0.743  0.471
O  0.425  0.615  0.415
O  0.427  0.408  0.808
O  0.430  0.609  0.694
O  0.431  0.268  0.745
O  0.434  0.074  0.425
O  0.441  0.753  0.754
O  0.575  0.084  0.928
O  0.579  0.278  0.249
O  0.580  0.749  0.257
O  0.581  0.743  0.972
O  0.582  0.603  0.910
O  0.582  0.610  0.195
O  0.582  0.937  0.578
O  0.582  0.947  0.861
O  0.583  0.078  0.641
O  0.587  0.281  0.530
O  0.589  0.416  0.308
O  0.589  0.422  0.594
O  0.597  0.084  0.251
O  0.600  0.597  0.308
O  0.608  0.260  0.928
O  0.608  0.751  0.572
O  0.616  0.266  0.642
O  0.617  0.090  0.529
O  0.618  0.428  0.912
O  0.619  0.599  0.584
O  0.621  0.428  0.196
O  0.622  0.918  0.259
O  0.623  0.757  0.861
O  0.630  0.932  0.973
O  0.686  0.504  0.416
O  0.692  0.855  0.472
O  0.693  0.518  0.086
O  0.694  0.839  0.078
O  0.699  0.188  0.424
O  0.701  0.862  0.754
O  0.704  0.164  0.747
O  0.706  0.833  0.361
O  0.707  0.498  0.701
O  0.707  0.514  0.804
O  0.709  0.170  0.032
O  0.730  0.191  0.134
O  0.791  0.693  0.634
O  0.812  0.670  0.533
O  0.820  0.018  0.309
O  0.821  0.326  0.862
O  0.821  0.993  0.198
O  0.822  0.349  0.973
O  0.828  0.659  0.252
O  0.830  0.689  0.928
O  0.831  0.008  0.908
O  0.834  0.021  0.593
O  0.840  0.332  0.581
O  0.840  0.367  0.256
O  0.880  0.784  0.139
O  0.891  0.248  0.368
O  0.892  0.427  0.755
O  0.897  0.105  0.803
O  0.897  0.920  0.699
O  0.899  0.430  0.471
O  0.899  0.579  0.749
O  0.899  0.581  0.037
O  0.901  0.097  0.084
O  0.908  0.932  0.418
O  0.909  0.763  0.427
O  0.913  0.250  0.074
O  0.914  0.560  0.139
O  0.919  0.779  0.036
O  0.920  0.240  0.471
O  0.921  0.439  0.078
O  0.921  0.915  0.802
O  0.925  0.112  0.700
O  0.927  0.448  0.359
O  0.929  0.914  0.084
O  0.933  0.114  0.417
O  0.938  0.239  0.755
O  0.938  0.788  0.749
O  0.946  0.583  0.427



2.
## GdTa3O9 (PBE-GGA)

Data for crystalline GdTa3O9 at its relaxed geometry.

Output
Energy above the lowest structure with this stoichiometry in meV/atom: 0
Energy relative to the elements in eV/f.u.: -45.60
Total energy in eV for the cell shown: -267.21
Corrected total energy (MP2020 scheme) in eV per atom: -10.75
Space group: No. 11

Unit cell a=5.361 b=7.567 c=8.317 alpha=90.00 beta=92.49 gamma=90.00
Fractional coordinates of all 26 atoms:
Gd  0.036  0.250  0.435
Gd  0.964  0.750  0.565
Ta  0.000  0.000  0.000
Ta  0.000  0.500  0.000
Ta  0.471  0.006  0.697
Ta  0.471  0.494  0.697
Ta  0.529  0.506  0.303
Ta  0.529  0.994  0.303
O  0.088  0.250  0.980
O  0.151  0.562  0.786
O  0.151  0.938  0.786
O  0.261  0.540  0.468
O  0.261  0.960  0.468
O  0.322  0.549  0.122
O  0.322  0.951  0.122
O  0.345  0.250  0.658
O  0.428  0.250  0.315
O  0.572  0.750  0.685
O  0.655  0.750  0.342
O  0.678  0.049  0.878
O  0.678  0.451  0.878
O  0.739  0.040  0.532
O  0.739  0.460  0.532
O  0.849  0.062  0.214
O  0.849  0.438  0.214
O  0.912  0.750  0.020



3.
## Mg6GaNi (PBE-GGA)

Data for crystalline Mg6GaNi at its relaxed geometry.

Output
Energy above the lowest structure with this stoichiometry in meV/atom: 0
Energy relative to the elements in eV/f.u.: -0.11
Total energy in eV for the cell shown: -37.05

Unit cell a=4.783 b=6.174 c=10.339 alpha=90.00 beta=90.00 gamma=90.00
Fractional coordinates of all 16 atoms:
Mg  0.500  0.235  0.906
Mg  0.500  0.735  0.406
Mg  0.500  0.265  0.406
Mg  0.000  0.757  0.592
Mg  0.000  0.000  0.338
Mg  0.000  0.243  0.592
Mg  0.500  0.765  0.906
Mg  0.500  0.000  0.164
Mg  0.000  0.500  0.838
Mg  0.000  0.257  0.092
Mg  0.000  0.743  0.092
Mg  0.500  0.500  0.664
Ni  0.000  0.500  0.334
Ni  0.000  0.000  0.834
Ga  0.500  0.500  0.169
Ga  0.500  0.000  0.669



4.
## MgO (PBE-GGA)

Data for crystalline MgO at its relaxed geometry.

Output
Energy relative to the elements in eV/f.u.: -5.96
Total energy in eV for the cell shown: -94.54
Corrected total energy (MP2020 scheme) in eV per atom: -6.25
Space group: No. 72

Unit cell a=8.184 b=8.184 c=8.184 alpha=135.49 beta=54.52 gamma=150.14
Fractional coordinates of all 16 atoms:
Mg  0.071  0.666  0.737
Mg  0.190  0.164  0.354
Mg  0.310  0.664  0.974
Mg  0.429  0.166  0.596
Mg  0.571  0.834  0.404
Mg  0.690  0.336  0.026
Mg  0.810  0.836  0.646
Mg  0.929  0.334  0.263
O  0.071  0.329  0.400
O  0.190  0.836  0.026
O  0.310  0.336  0.646
O  0.429  0.829  0.258
O  0.571  0.171  0.742
O  0.690  0.664  0.354
O  0.810  0.164  0.974
O  0.929  0.671  0.600



5.
## Li2NbOF5 (PBE-GGA)

Data for crystalline Li2NbOF5 at its relaxed geometry.

Output
Energy relative to the elements in eV/f.u.: -29.33
Total energy in eV for the cell shown: -164.31
Corrected total energy (MP2020 scheme) in eV per atom: -6.42
Space group: No. 144

Unit cell a=5.033 b=5.033 c=13.955 alpha=90.00 beta=90.00 gamma=120.00
Fractional coordinates of all 27 atoms:
Li  0.001  0.997  0.000
Li  0.003  0.004  0.333
Li  0.660  0.339  0.333
Li  0.661  0.321  0.667
Li  0.679  0.340  0.000
Li  0.996  0.999  0.667
Nb  0.308  0.642  0.838
Nb  0.334  0.692  0.505
Nb  0.358  0.666  0.171
O  0.023  0.355  0.913
O  0.332  0.977  0.580
O  0.645  0.668  0.247
F  0.006  0.345  0.247
F  0.012  0.341  0.581
F  0.012  0.661  0.414
F  0.012  0.669  0.081
F  0.014  0.670  0.748
F  0.329  0.988  0.248
F  0.330  0.344  0.081
F  0.331  0.344  0.414
F  0.339  0.350  0.747
F  0.339  0.994  0.914
F  0.650  0.988  0.081
F  0.655  0.661  0.580
F  0.656  0.986  0.414
F  0.656  0.988  0.748
F  0.659  0.671  0.914



6.
## Cs2TiCu2Se4 (PBE-GGA)

Data for crystalline Cs2TiCu2Se4 at its relaxed geometry.

Output
Energy relative to the elements in eV/f.u.: -10.54
Total energy in eV for the cell shown: -81.05
Corrected total energy (MP2020 scheme) in eV per atom: -4.71
Space group: No. 132

Unit cell a=5.914 b=5.914 c=14.540 alpha=90.00 beta=90.00 gamma=90.00
Fractional coordinates of all 18 atoms:
Cs  0.243  0.243  0.000
Cs  0.243  0.757  0.500
Cs  0.757  0.243  0.500
Cs  0.757  0.757  0.000
Ti  0.500  0.500  0.250
Ti  0.500  0.500  0.750
Cu  0.000  0.500  0.250
Cu  0.000  0.500  0.750
Cu  0.500  0.000  0.250
Cu  0.500  0.000  0.750
Se  0.260  0.260  0.343
Se  0.260  0.260  0.657
Se  0.260  0.740  0.157
Se  0.260  0.740  0.843
Se  0.740  0.260  0.157
Se  0.740  0.260  0.843
Se  0.740  0.740  0.343
Se  0.740  0.740  0.657



7.
## HfTaSi (PBE-GGA)

Data for crystalline HfTaSi at its relaxed geometry.

Output
Energy relative to the elements in eV/f.u.: -0.88
Total energy in eV for the cell shown: -112.78
Corrected total energy (MP2020 scheme) in eV per atom: -9.37
Space group: No. 38

Unit cell a=8.694 b=5.301 c=5.301 alpha=61.78 beta=90.00 gamma=90.00
Fractional coordinates of all 12 atoms:
Hf  0.182  0.000  0.000
Hf  0.303  0.664  0.664
Hf  0.697  0.664  0.664
Hf  0.818  0.000  0.000
Ta  0.000  0.496  0.496
Ta  0.500  0.161  0.674
Ta  0.500  0.163  0.163
Ta  0.500  0.674  0.161
Si  0.000  0.509  0.980
Si  0.000  0.980  0.509
Si  0.250  0.335  0.335
Si  0.750  0.335  0.335



8.
## Na2P2O7 (PBE-GGA)

Data for crystalline Na2P2O7 at its relaxed geometry.

Output
Energy relative to the elements in eV/f.u.: -25.10
Total energy in eV for the cell shown: -273.61
Corrected total energy (MP2020 scheme) in eV per atom: -6.66
Space group: No. 14

Unit cell a=7.158 b=13.664 c=7.042 alpha=90.00 beta=97.87 gamma=90.00
Fractional coordinates of all 44 atoms:
Na  0.151  0.102  0.043
Na  0.151  0.398  0.543
Na  0.226  0.629  0.840
Na  0.226  0.871  0.340
Na  0.774  0.129  0.660
Na  0.774  0.371  0.160
Na  0.849  0.602  0.457
Na  0.849  0.898  0.957
P  0.249  0.077  0.579
P  0.249  0.423  0.079
P  0.313  0.605  0.341
P  0.313  0.895  0.841
P  0.687  0.105  0.159
P  0.687  0.395  0.659
P  0.751  0.577  0.921
P  0.751  0.923  0.421
O  0.118  0.129  0.696
O  0.118  0.371  0.196
O  0.176  0.063  0.367
O  0.176  0.437  0.867
O  0.183  0.573  0.483
O  0.183  0.927  0.983
O  0.273  0.708  0.260
O  0.273  0.792  0.760
O  0.274  0.537  0.151
O  0.274  0.963  0.651
O  0.444  0.124  0.593
O  0.444  0.376  0.093
O  0.478  0.102  0.082
O  0.478  0.398  0.582
O  0.522  0.602  0.418
O  0.522  0.898  0.918
O  0.556  0.624  0.907
O  0.556  0.876  0.407
O  0.726  0.037  0.349
O  0.726  0.463  0.849
O  0.727  0.208  0.240
O  0.727  0.292  0.740
O  0.817  0.073  0.017
O  0.817  0.427  0.517
O  0.824  0.563  0.133
O  0.824  0.937  0.633
O  0.882  0.629  0.804
O  0.882  0.871  0.304